Arrangement one

A relaxed Sr3MgMn2O7 crystal, computed with PBE+U.

```
data_Sr3MgMn2O7
_chemical_formula_sum 'Sr3 Mg1 Mn2 O7'
_cell_length_a 3.7791
_cell_length_b 3.7791
_cell_length_c 13.0107
_cell_angle_alpha 98.35
_cell_angle_beta 98.35
_cell_angle_gamma 90.00
_space_group_name_H-M_alt 'P 1'
_space_group_IT_number 1
loop_
_space_group_symop_operation_xyz
'x,y,z'
loop_
_atom_site_label
_atom_site_type_symbol
_atom_site_fract_x
_atom_site_fract_y
_atom_site_fract_z
O1 O 0.2092 0.2092 0.4185
Mn1 Mn 0.9190 0.9190 0.8381
Sr1 Sr 0.5000 0.5000 0.0000
O2 O 0.5942 0.0942 0.1884
Sr2 Sr 0.3422 0.3422 0.6845
O3 O 0.0920 0.5920 0.1840
Sr3 Sr 0.6578 0.6578 0.3155
O4 O 0.7907 0.7907 0.5815
O5 O 0.0000 0.0000 0.0000
O6 O 0.9058 0.4058 0.8116
O7 O 0.4080 0.9080 0.8161
Mg1 Mg 0.7500 0.2500 0.5000
Mn2 Mn 0.0810 0.0810 0.1619
```


Arrangement two

A relaxed Sr3MgMn2O7 crystal, computed with PBE+U.

```
data_Sr3MgMn2O7
_chemical_formula_sum 'Sr3 Mg1 Mn2 O7'
_cell_length_a 3.8172
_cell_length_b 5.1527
_cell_length_c 10.3212
_cell_angle_alpha 104.45
_cell_angle_beta 100.66
_cell_angle_gamma 90.00
_space_group_name_H-M_alt 'P 1'
_space_group_IT_number 1
loop_
_space_group_symop_operation_xyz
'x,y,z'
loop_
_atom_site_label
_atom_site_type_symbol
_atom_site_fract_x
_atom_site_fract_y
_atom_site_fract_z
Mn1 Mn 0.1092 0.1092 0.2184
Sr1 Sr 0.6784 0.6784 0.3567
O1 O 0.7983 0.7983 0.5965
Sr2 Sr 0.3216 0.3216 0.6433
O2 O 0.4026 0.9026 0.8052
Mn2 Mn 0.8908 0.8908 0.7816
O3 O 0.2017 0.2017 0.4035
Mg1 Mg 0.5000 0.0000 0.0000
O4 O 0.5974 0.0974 0.1948
O5 O 0.0918 0.5918 0.1835
Sr3 Sr 0.5000 0.5000 0.0000
O6 O 0.0000 0.0000 0.0000
O7 O 0.9082 0.4082 0.8165
```


Taking the most stable structure as the zero point, the relative energies in meV per atom are arrangement one 0; arrangement two 179.


Arrangement one

A relaxed MgMn3TeO8 crystal, computed with PBE+U.

```
data_MgMn3TeO8
_chemical_formula_sum 'Mg1 Mn3 Te1 O8'
_cell_length_a 10.5803
_cell_length_b 10.5477
_cell_length_c 14.8892
_cell_angle_alpha 19.87
_cell_angle_beta 20.04
_cell_angle_gamma 34.45
_space_group_name_H-M_alt 'P 1'
_space_group_IT_number 1
loop_
_space_group_symop_operation_xyz
'x,y,z'
loop_
_atom_site_label
_atom_site_type_symbol
_atom_site_fract_x
_atom_site_fract_y
_atom_site_fract_z
O1 O 0.4609 0.0003 0.7612
O2 O 0.0148 0.5576 0.2097
O3 O 0.9342 0.0000 0.3126
Mn1 Mn 0.5000 0.5000 0.0000
O4 O 0.9850 0.4422 0.7905
Mg1 Mg 0.4999 0.9999 0.5001
O5 O 0.5430 0.5577 0.6749
O6 O 0.4571 0.4423 0.3250
Mn2 Mn 0.5002 0.0003 0.9997
Te1 Te 0.9999 0.9999 0.0001
O7 O 0.5393 0.9998 0.2386
Mn3 Mn 0.9999 0.4999 0.0001
O8 O 0.0658 0.0000 0.6875
```


Arrangement two

A relaxed MgMn3TeO8 crystal, computed with PBE+U.

```
data_MgMn3TeO8
_chemical_formula_sum 'Mg1 Mn3 Te1 O8'
_cell_length_a 6.2013
_cell_length_b 6.3605
_cell_length_c 6.2012
_cell_angle_alpha 59.88
_cell_angle_beta 58.59
_cell_angle_gamma 59.88
_space_group_name_H-M_alt 'P 1'
_space_group_IT_number 1
loop_
_space_group_symop_operation_xyz
'x,y,z'
loop_
_atom_site_label
_atom_site_type_symbol
_atom_site_fract_x
_atom_site_fract_y
_atom_site_fract_z
O1 O 0.7272 0.2858 0.2689
Te1 Te 0.5000 0.5000 0.5000
Mg1 Mg 0.0000 0.5000 0.0000
O2 O 0.2778 0.6929 0.2777
O3 O 0.2689 0.2858 0.7271
Mn1 Mn 0.5000 0.0000 0.5000
O4 O 0.2444 0.3159 0.2444
O5 O 0.7311 0.7142 0.2729
O6 O 0.7222 0.3071 0.7223
O7 O 0.7556 0.6841 0.7556
Mn2 Mn 0.5000 0.5000 0.0000
Mn3 Mn 0.0000 0.5000 0.5000
O8 O 0.2728 0.7142 0.7311
```


Taking the most stable structure as the zero point, the relative energies in meV per atom are arrangement one 10; arrangement two 0.


Arrangement one

A relaxed MgMnV2O6 crystal, computed with PBE+U.

```
data_MgMnV2O6
_chemical_formula_sum 'Mg1 Mn1 V2 O6'
_cell_length_a 3.9453
_cell_length_b 5.1947
_cell_length_c 6.7171
_cell_angle_alpha 113.99
_cell_angle_beta 90.00
_cell_angle_gamma 112.32
_space_group_name_H-M_alt 'P 1'
_space_group_IT_number 1
loop_
_space_group_symop_operation_xyz
'x,y,z'
loop_
_atom_site_label
_atom_site_type_symbol
_atom_site_fract_x
_atom_site_fract_y
_atom_site_fract_z
Mn1 Mn 0.9845 0.9683 0.9549
O1 O 0.6442 0.2882 0.1309
O2 O 0.6960 0.3915 0.5703
V1 V 0.8085 0.6166 0.3849
O3 O 0.0234 0.0466 0.6831
O4 O 0.9765 0.9524 0.2792
Mg1 Mg 0.4680 0.9355 0.2500
O5 O 0.3524 0.7042 0.9013
O6 O 0.3160 0.6316 0.4250
V2 V 0.1859 0.3713 0.6239
```


Arrangement two

A relaxed MgMnV2O6 crystal, computed with PBE+U.

```
data_MgMnV2O6
_chemical_formula_sum 'Mg1 Mn1 V2 O6'
_cell_length_a 3.9706
_cell_length_b 5.3160
_cell_length_c 6.6118
_cell_angle_alpha 88.91
_cell_angle_beta 89.99
_cell_angle_gamma 111.92
_space_group_name_H-M_alt 'P 1'
_space_group_IT_number 1
loop_
_space_group_symop_operation_xyz
'x,y,z'
loop_
_atom_site_label
_atom_site_type_symbol
_atom_site_fract_x
_atom_site_fract_y
_atom_site_fract_z
O1 O 0.9865 0.9715 0.3314
V1 V 0.1492 0.2970 0.6018
Mg1 Mg 0.8197 0.6383 0.8211
O2 O 0.2668 0.5322 0.3507
O3 O 0.6931 0.3848 0.5700
Mn1 Mn 0.1331 0.2648 0.0724
O4 O 0.2838 0.5664 0.7955
O5 O 0.7158 0.4303 0.0876
V2 V 0.8100 0.6188 0.3307
O6 O 0.0170 0.0333 0.7888
```


Taking the most stable structure as the zero point, the relative energies in meV per atom are arrangement one 45; arrangement two 0.


Arrangement one

A relaxed MgMn2V2O8 crystal, computed with PBE+U.

```
data_MgMn2V2O8
_chemical_formula_sum 'Mg1 Mn2 V2 O8'
_cell_length_a 5.6624
_cell_length_b 5.6624
_cell_length_c 6.6089
_cell_angle_alpha 90.00
_cell_angle_beta 90.00
_cell_angle_gamma 60.36
_space_group_name_H-M_alt 'P 1'
_space_group_IT_number 1
loop_
_space_group_symop_operation_xyz
'x,y,z'
loop_
_atom_site_label
_atom_site_type_symbol
_atom_site_fract_x
_atom_site_fract_y
_atom_site_fract_z
O1 O 0.2929 0.2929 0.4603
O2 O 0.2929 0.2929 0.0397
O3 O 0.7615 0.2406 0.2500
O4 O 0.2071 0.7749 0.7500
Mn1 Mn 0.0814 0.0814 0.4746
Mn2 Mn 0.0814 0.0814 0.0254
O5 O 0.6818 0.6818 0.9457
O6 O 0.6818 0.6818 0.5543
V1 V 0.5685 0.5685 0.7500
V2 V 0.3985 0.3985 0.2500
O7 O 0.2406 0.7615 0.2500
O8 O 0.7749 0.2071 0.7500
Mg1 Mg 0.8366 0.8366 0.7500
```


Arrangement two

A relaxed MgMn2V2O8 crystal, computed with PBE+U.

```
data_MgMn2V2O8
_chemical_formula_sum 'Mg1 Mn2 V2 O8'
_cell_length_a 5.3188
_cell_length_b 5.3188
_cell_length_c 6.5253
_cell_angle_alpha 90.00
_cell_angle_beta 90.00
_cell_angle_gamma 66.45
_space_group_name_H-M_alt 'P 1'
_space_group_IT_number 1
loop_
_space_group_symop_operation_xyz
'x,y,z'
loop_
_atom_site_label
_atom_site_type_symbol
_atom_site_fract_x
_atom_site_fract_y
_atom_site_fract_z
Mn1 Mn 0.0021 0.0021 0.5077
V1 V 0.6442 0.6442 0.7500
O1 O 0.7754 0.2867 0.7500
Mg1 Mg 0.6611 0.6611 0.2500
O2 O 0.2454 0.7221 0.2500
O3 O 0.2376 0.2376 0.0434
O4 O 0.2376 0.2376 0.4566
O5 O 0.7549 0.7549 0.5243
O6 O 0.7221 0.2454 0.2500
Mn2 Mn 0.0021 0.0021 0.9923
O7 O 0.2867 0.7754 0.7500
O8 O 0.7549 0.7549 0.9757
V2 V 0.3508 0.3508 0.2500
```


Arrangement three

A relaxed MgMn2V2O8 crystal, computed with PBE+U.

```
data_MgMn2V2O8
_chemical_formula_sum 'Mg1 Mn2 V2 O8'
_cell_length_a 5.3640
_cell_length_b 5.3640
_cell_length_c 6.5397
_cell_angle_alpha 92.87
_cell_angle_beta 92.87
_cell_angle_gamma 66.35
_space_group_name_H-M_alt 'P 1'
_space_group_IT_number 1
loop_
_space_group_symop_operation_xyz
'x,y,z'
loop_
_atom_site_label
_atom_site_type_symbol
_atom_site_fract_x
_atom_site_fract_y
_atom_site_fract_z
O1 O 0.2325 0.6959 0.2420
O2 O 0.2334 0.2334 0.5004
Mn1 Mn 0.0000 0.0000 0.0000
O3 O 0.7675 0.3041 0.7580
Mn2 Mn 0.0000 0.0000 0.5000
O4 O 0.7688 0.7688 0.9335
O5 O 0.6959 0.2325 0.2420
V1 V 0.3364 0.3364 0.2933
O6 O 0.7666 0.7666 0.4996
O7 O 0.2312 0.2312 0.0665
O8 O 0.3041 0.7675 0.7580
V2 V 0.6636 0.6636 0.7067
Mg1 Mg 0.5000 0.5000 0.0000
```


Taking the most stable structure as the zero point, the relative energies in meV per atom are arrangement one 125; arrangement two 0; arrangement three 169.


Arrangement one

A relaxed MgMnZn2WO6 crystal, computed with PBE+U.

```
data_MgMnZn2WO6
_chemical_formula_sum 'Mg1 Mn1 Zn2 W1 O6'
_cell_length_a 5.3224
_cell_length_b 5.9980
_cell_length_c 8.0724
_cell_angle_alpha 99.82
_cell_angle_beta 131.18
_cell_angle_gamma 116.08
_space_group_name_H-M_alt 'P 1'
_space_group_IT_number 1
loop_
_space_group_symop_operation_xyz
'x,y,z'
loop_
_atom_site_label
_atom_site_type_symbol
_atom_site_fract_x
_atom_site_fract_y
_atom_site_fract_z
O1 O 0.6286 0.1079 0.3880
O2 O 0.7253 0.8353 0.1067
Zn1 Zn 0.0148 0.6372 0.1865
O3 O 0.3325 0.7849 0.5777
O4 O 0.2808 0.4393 0.2404
O5 O 0.6532 0.4918 0.7652
Zn2 Zn 0.9990 0.4577 0.7618
W1 W 0.0061 0.9947 0.9968
Mn1 Mn 0.9999 0.9144 0.5353
O6 O 0.3615 0.1513 0.9514
Mg1 Mg 0.0025 0.2956 0.3497
```


Arrangement two

A relaxed MgMnZn2WO6 crystal, computed with PBE+U.

```
data_MgMnZn2WO6
_chemical_formula_sum 'Mg1 Mn1 Zn2 W1 O6'
_cell_length_a 5.3134
_cell_length_b 5.5612
_cell_length_c 9.0445
_cell_angle_alpha 100.75
_cell_angle_beta 139.49
_cell_angle_gamma 105.18
_space_group_name_H-M_alt 'P 1'
_space_group_IT_number 1
loop_
_space_group_symop_operation_xyz
'x,y,z'
loop_
_atom_site_label
_atom_site_type_symbol
_atom_site_fract_x
_atom_site_fract_y
_atom_site_fract_z
O1 O 0.6171 0.7364 0.9950
O2 O 0.6807 0.0994 0.3513
O3 O 0.1647 0.3912 0.1932
O4 O 0.7412 0.5332 0.7518
Zn1 Zn 0.8864 0.5421 0.5995
Mn1 Mn 0.3853 0.2563 0.7767
W1 W 0.9400 0.9559 0.9664
O5 O 0.1849 0.7969 0.5667
Zn2 Zn 0.9920 0.3686 0.3297
O6 O 0.2692 0.2033 0.9500
Mg1 Mg 0.4929 0.6553 0.1542
```


Taking the most stable structure as the zero point, the relative energies in meV per atom are arrangement one 5; arrangement two 0.


Arrangement one

A relaxed MgMn4Zn2O8 crystal, computed with PBE+U.

```
data_MgMn4Zn2O8
_chemical_formula_sum 'Mg1 Mn4 Zn2 O8'
_cell_length_a 3.0414
_cell_length_b 8.6195
_cell_length_c 8.0281
_cell_angle_alpha 82.90
_cell_angle_beta 83.23
_cell_angle_gamma 76.69
_space_group_name_H-M_alt 'P 1'
_space_group_IT_number 1
loop_
_space_group_symop_operation_xyz
'x,y,z'
loop_
_atom_site_label
_atom_site_type_symbol
_atom_site_fract_x
_atom_site_fract_y
_atom_site_fract_z
O1 O 0.8483 0.4073 0.1296
O2 O 0.6578 0.0446 0.1939
Zn1 Zn 0.0338 0.1958 0.2447
Mg1 Mg 0.3275 0.7457 0.6956
Mn1 Mn 0.2370 0.5696 0.1247
O3 O 0.3281 0.5492 0.8471
Zn2 Zn 0.6875 0.9370 0.9924
O4 O 0.6242 0.7227 0.1557
O5 O 0.0719 0.1193 0.4870
O6 O 0.5290 0.2503 0.8066
O7 O 0.8432 0.7932 0.5386
O8 O 0.2439 0.9315 0.8302
Mn2 Mn 0.5534 0.0832 0.6461
Mn3 Mn 0.9280 0.3907 0.8483
Mn4 Mn 0.3359 0.8743 0.3559
```


Arrangement two

A relaxed MgMn4Zn2O8 crystal, computed with PBE+U.

```
data_MgMn4Zn2O8
_chemical_formula_sum 'Mg1 Mn4 Zn2 O8'
_cell_length_a 6.2580
_cell_length_b 5.9372
_cell_length_c 6.1283
_cell_angle_alpha 118.10
_cell_angle_beta 116.83
_cell_angle_gamma 90.58
_space_group_name_H-M_alt 'P 1'
_space_group_IT_number 1
loop_
_space_group_symop_operation_xyz
'x,y,z'
loop_
_atom_site_label
_atom_site_type_symbol
_atom_site_fract_x
_atom_site_fract_y
_atom_site_fract_z
Mn1 Mn 0.0000 0.0001 0.0000
Mn2 Mn 0.0000 0.0000 0.5001
O1 O 0.2358 0.2488 0.4957
Mg1 Mg 0.0000 0.4999 0.5000
O2 O 0.2442 0.7492 0.5081
O3 O 0.7558 0.2507 0.4918
O4 O 0.2153 0.7256 0.9743
O5 O 0.1910 0.2422 0.9660
O6 O 0.8092 0.7579 0.0340
Zn1 Zn 0.5419 0.3639 0.2106
O7 O 0.7846 0.2743 0.0256
Mn3 Mn 0.0000 0.5000 0.0000
Zn2 Zn 0.4581 0.6361 0.7894
Mn4 Mn 0.4999 0.0001 0.5000
O8 O 0.7642 0.7511 0.5043
```


Taking the most stable structure as the zero point, the relative energies in meV per atom are arrangement one 6; arrangement two 0.


Arrangement one

A relaxed MgMn4Zn2O8 crystal, computed with PBE+U.

```
data_MgMn4Zn2O8
_chemical_formula_sum 'Mg1 Mn4 Zn2 O8'
_cell_length_a 6.2922
_cell_length_b 6.0652
_cell_length_c 6.1755
_cell_angle_alpha 59.25
_cell_angle_beta 60.32
_cell_angle_gamma 67.14
_space_group_name_H-M_alt 'P 1'
_space_group_IT_number 1
loop_
_space_group_symop_operation_xyz
'x,y,z'
loop_
_atom_site_label
_atom_site_type_symbol
_atom_site_fract_x
_atom_site_fract_y
_atom_site_fract_z
Zn1 Zn 0.0935 0.0068 0.9193
O1 O 0.7989 0.4145 0.4117
O2 O 0.4357 0.8418 0.8498
Mg1 Mg 0.6345 0.1203 0.1296
O3 O 0.8970 0.3783 0.8736
O4 O 0.8466 0.9293 0.8450
Mn1 Mn 0.6230 0.6239 0.1275
O5 O 0.8543 0.8762 0.3651
O6 O 0.4145 0.3568 0.8989
O7 O 0.4136 0.3121 0.4012
Mn2 Mn 0.6164 0.1312 0.6323
Mn3 Mn 0.6170 0.6258 0.6293
Zn2 Zn 0.1034 0.6504 0.6019
O8 O 0.3690 0.8584 0.3811
Mn4 Mn 0.1575 0.2491 0.3086
```


Arrangement two

A relaxed MgMn4Zn2O8 crystal, computed with PBE+U.

```
data_MgMn4Zn2O8
_chemical_formula_sum 'Mg1 Mn4 Zn2 O8'
_cell_length_a 6.3210
_cell_length_b 6.4325
_cell_length_c 6.5587
_cell_angle_alpha 122.99
_cell_angle_beta 121.95
_cell_angle_gamma 86.26
_space_group_name_H-M_alt 'P 1'
_space_group_IT_number 1
loop_
_space_group_symop_operation_xyz
'x,y,z'
loop_
_atom_site_label
_atom_site_type_symbol
_atom_site_fract_x
_atom_site_fract_y
_atom_site_fract_z
Mn1 Mn 0.9914 0.0003 0.4780
O1 O 0.7308 0.7855 0.5159
O2 O 0.2651 0.8059 0.0491
O3 O 0.2014 0.7305 0.4157
O4 O 0.7752 0.2869 0.5415
O5 O 0.7075 0.1743 0.9327
O6 O 0.7378 0.7079 0.9985
O7 O 0.2568 0.2256 0.4803
Mn2 Mn 0.0022 0.5289 0.9880
Mn3 Mn 0.5031 0.0282 0.4894
O8 O 0.2452 0.3076 0.9770
Zn1 Zn 0.6671 0.3849 0.2662
Zn2 Zn 0.4052 0.5299 0.8905
Mn4 Mn 0.0732 0.0827 0.0298
Mg1 Mg 0.5524 0.7650 0.6975
```


Taking the most stable structure as the zero point, the relative energies in meV per atom are arrangement one 0; arrangement two 11.


Arrangement one

A relaxed MgMn2Zn2O6 crystal, computed with PBE+U.

```
data_MgMn2Zn2O6
_chemical_formula_sum 'Mg1 Mn2 Zn2 O6'
_cell_length_a 5.8856
_cell_length_b 5.8856
_cell_length_c 5.8856
_cell_angle_alpha 52.44
_cell_angle_beta 52.44
_cell_angle_gamma 52.44
_space_group_name_H-M_alt 'P 1'
_space_group_IT_number 1
loop_
_space_group_symop_operation_xyz
'x,y,z'
loop_
_atom_site_label
_atom_site_type_symbol
_atom_site_fract_x
_atom_site_fract_y
_atom_site_fract_z
O1 O 0.9492 0.2419 0.5815
O2 O 0.2419 0.5815 0.9492
Zn1 Zn 0.1713 0.1713 0.1713
O3 O 0.5815 0.9492 0.2419
O4 O 0.7581 0.4185 0.0508
Mg1 Mg 0.0000 0.0000 0.0000
Mn1 Mn 0.6479 0.6479 0.6479
O5 O 0.0508 0.7581 0.4185
Mn2 Mn 0.3521 0.3521 0.3521
Zn2 Zn 0.8287 0.8287 0.8287
O6 O 0.4185 0.0508 0.7581
```


Arrangement two

A relaxed MgMn2Zn2O6 crystal, computed with PBE+U.

```
data_MgMn2Zn2O6
_chemical_formula_sum 'Mg1 Mn2 Zn2 O6'
_cell_length_a 5.9269
_cell_length_b 5.9269
_cell_length_c 5.9269
_cell_angle_alpha 52.84
_cell_angle_beta 52.84
_cell_angle_gamma 52.84
_space_group_name_H-M_alt 'P 1'
_space_group_IT_number 1
loop_
_space_group_symop_operation_xyz
'x,y,z'
loop_
_atom_site_label
_atom_site_type_symbol
_atom_site_fract_x
_atom_site_fract_y
_atom_site_fract_z
Mn1 Mn 0.3205 0.3205 0.3205
Mg1 Mg 0.5000 0.5000 0.5000
O1 O 0.9032 0.2935 0.5676
Zn1 Zn 0.8988 0.8988 0.8988
O2 O 0.4324 0.0968 0.7065
O3 O 0.2935 0.5676 0.9032
Zn2 Zn 0.1013 0.1013 0.1013
O4 O 0.0968 0.7065 0.4324
O5 O 0.5676 0.9032 0.2935
O6 O 0.7065 0.4324 0.0968
Mn2 Mn 0.6795 0.6795 0.6795
```


Taking the most stable structure as the zero point, the relative energies in meV per atom are arrangement one 55; arrangement two 0.